1.
Nd3Rh2 after structural relaxation. Source: the Materials Project database, functional PBE-GGA.

a b c (Å): 7.608 7.608 7.608
angles (deg): 71.47 71.47 71.47
Element x y z (fractional)
Nd (0.000, 0.000, 0.000)
Nd (0.165, 0.393, 0.664)
Nd (0.204, 0.204, 0.204)
Nd (0.336, 0.835, 0.607)
Nd (0.393, 0.664, 0.165)
Nd (0.607, 0.336, 0.835)
Nd (0.664, 0.165, 0.393)
Nd (0.796, 0.796, 0.796)
Nd (0.835, 0.607, 0.336)
Rh (0.044, 0.836, 0.411)
Rh (0.164, 0.589, 0.956)
Rh (0.411, 0.044, 0.836)
Rh (0.589, 0.956, 0.164)
Rh (0.836, 0.411, 0.044)
Rh (0.956, 0.164, 0.589)

Summary:
* E_form: -615.6 meV per atom
* DFT total energy: -6.422 eV/atom

***

2.
Fe3SnSb after structural relaxation. Source: the Materials Project database, functional PBE-GGA.

a b c (Å): 4.210 4.210 5.400
angles (deg): 90.00 90.00 120.00
Element x y z (fractional)
Fe (0.000, 0.000, 0.000)
Fe (0.333, 0.667, 0.156)
Fe (0.667, 0.333, 0.320)
Sn (0.667, 0.333, 0.837)
Sb (0.000, 0.000, 0.479)

Summary:
* E_form: 115.4 meV per atom
* DFT total energy: -6.556 eV/atom

***

3.
Al2Pt after structural relaxation. Source: the Materials Project database, functional PBE-GGA.

a b c (Å): 5.949 5.949 5.949
angles (deg): 90.00 90.00 90.00
Element x y z (fractional)
Al (0.250, 0.250, 0.250)
Al (0.250, 0.250, 0.750)
Al (0.250, 0.750, 0.250)
Al (0.250, 0.750, 0.750)
Al (0.750, 0.250, 0.250)
Al (0.750, 0.250, 0.750)
Al (0.750, 0.750, 0.250)
Al (0.750, 0.750, 0.750)
Pt (0.000, 0.000, 0.000)
Pt (0.000, 0.500, 0.500)
Pt (0.500, 0.000, 0.500)
Pt (0.500, 0.500, 0.000)

Summary:
* E_form: -894.0 meV per atom
* DFT total energy: -5.415 eV/atom

***

4.
NdSmO2 after structural relaxation. Source: the Materials Project database, functional PBE-GGA.

a b c (Å): 3.526 3.526 17.585
angles (deg): 90.00 90.00 120.00
Element x y z (fractional)
Nd (0.000, 0.000, 0.000)
Nd (0.333, 0.667, 0.667)
Nd (0.667, 0.333, 0.333)
Sm (0.000, 0.000, 0.500)
Sm (0.333, 0.667, 0.167)
Sm (0.667, 0.333, 0.833)
O (0.000, 0.000, 0.243)
O (0.000, 0.000, 0.757)
O (0.333, 0.667, 0.423)
O (0.333, 0.667, 0.910)
O (0.667, 0.333, 0.090)
O (0.667, 0.333, 0.577)

Summary:
* E above lowest polymorph: 0.0 meV/atom
* E_form: -3097.5 meV per atom
* DFT total energy: -7.600 eV/atom

***

5.
BaLiTbSbO6 after structural relaxation. Source: the Materials Project database, functional PBE-GGA.

a b c (Å): 8.443 8.484 8.497
angles (deg): 90.00 90.00 90.00
Element x y z (fractional)
Ba (0.250, 0.250, 0.250)
Ba (0.250, 0.250, 0.750)
Ba (0.750, 0.750, 0.250)
Ba (0.750, 0.750, 0.750)
Li (0.250, 0.750, 0.250)
Li (0.250, 0.750, 0.750)
Li (0.750, 0.250, 0.250)
Li (0.750, 0.250, 0.750)
Tb (0.000, 0.000, 0.000)
Tb (0.000, 0.500, 0.500)
Tb (0.500, 0.000, 0.500)
Tb (0.500, 0.500, 0.000)
Sb (0.000, 0.000, 0.500)
Sb (0.000, 0.500, 0.000)
Sb (0.500, 0.000, 0.000)
Sb (0.500, 0.500, 0.500)
O (0.007, 0.736, 0.014)
O (0.007, 0.764, 0.486)
O (0.014, 0.514, 0.764)
O (0.014, 0.986, 0.736)
O (0.236, 0.016, 0.489)
O (0.236, 0.484, 0.011)
O (0.264, 0.016, 0.011)
O (0.264, 0.484, 0.489)
O (0.486, 0.514, 0.736)
O (0.486, 0.986, 0.764)
O (0.493, 0.736, 0.486)
O (0.493, 0.764, 0.014)
O (0.507, 0.236, 0.986)
O (0.507, 0.264, 0.514)
O (0.514, 0.014, 0.236)
O (0.514, 0.486, 0.264)
O (0.736, 0.516, 0.511)
O (0.736, 0.984, 0.989)
O (0.764, 0.516, 0.989)
O (0.764, 0.984, 0.511)
O (0.986, 0.014, 0.264)
O (0.986, 0.486, 0.236)
O (0.993, 0.236, 0.514)
O (0.993, 0.264, 0.986)

Summary:
* E above lowest polymorph: 4.8 meV/atom
* E_form: -2577.4 meV per atom
* DFT total energy: -6.393 eV/atom

***

6.
ZrSO6 after structural relaxation. Source: the Materials Project database, functional PBE-GGA.

a b c (Å): 11.452 5.741 6.912
angles (deg): 90.00 90.00 90.00
Element x y z (fractional)
Zr (0.072, 0.250, 0.168)
Zr (0.428, 0.750, 0.668)
Zr (0.572, 0.250, 0.332)
Zr (0.928, 0.750, 0.832)
S (0.144, 0.750, 0.453)
S (0.356, 0.250, 0.953)
S (0.644, 0.750, 0.047)
S (0.856, 0.250, 0.547)
O (0.034, 0.750, 0.567)
O (0.053, 0.001, 0.935)
O (0.053, 0.499, 0.935)
O (0.150, 0.540, 0.330)
O (0.150, 0.960, 0.330)
O (0.244, 0.750, 0.586)
O (0.256, 0.250, 0.086)
O (0.350, 0.040, 0.830)
O (0.350, 0.460, 0.830)
O (0.447, 0.501, 0.435)
O (0.447, 0.999, 0.435)
O (0.466, 0.250, 0.067)
O (0.534, 0.750, 0.933)
O (0.553, 0.001, 0.565)
O (0.553, 0.499, 0.565)
O (0.650, 0.540, 0.170)
O (0.650, 0.960, 0.170)
O (0.744, 0.750, 0.914)
O (0.756, 0.250, 0.414)
O (0.850, 0.040, 0.670)
O (0.850, 0.460, 0.670)
O (0.947, 0.501, 0.065)
O (0.947, 0.999, 0.065)
O (0.966, 0.250, 0.433)

Summary:
* E_form: -2189.3 meV per atom
* DFT total energy: -7.137 eV/atom

***

7.
Li2NdPb after structural relaxation. Source: the Materials Project database, functional PBE-GGA.

a b c (Å): 7.029 7.029 7.029
angles (deg): 90.00 90.00 90.00
Element x y z (fractional)
Li (0.250, 0.250, 0.250)
Li (0.250, 0.250, 0.750)
Li (0.250, 0.750, 0.250)
Li (0.250, 0.750, 0.750)
Li (0.750, 0.250, 0.250)
Li (0.750, 0.250, 0.750)
Li (0.750, 0.750, 0.250)
Li (0.750, 0.750, 0.750)
Nd (0.000, 0.000, 0.000)
Nd (0.000, 0.500, 0.500)
Nd (0.500, 0.000, 0.500)
Nd (0.500, 0.500, 0.000)
Pb (0.000, 0.000, 0.500)
Pb (0.000, 0.500, 0.000)
Pb (0.500, 0.000, 0.000)
Pb (0.500, 0.500, 0.500)

Summary:
* E_form: -347.3 meV per atom
* DFT total energy: -3.422 eV/atom

***

8.
Sr4Li2Si4N8O after structural relaxation. Source: the Materials Project database, functional PBE-GGA.

a b c (Å): 9.374 9.374 5.609
angles (deg): 90.00 90.00 90.00
Element x y z (fractional)
Sr (0.055, 0.265, 0.000)
Sr (0.235, 0.445, 0.500)
Sr (0.265, 0.945, 0.000)
Sr (0.445, 0.765, 0.500)
Sr (0.555, 0.235, 0.500)
Sr (0.735, 0.055, 0.000)
Sr (0.765, 0.555, 0.500)
Sr (0.945, 0.735, 0.000)
Li (0.000, 0.000, 0.317)
Li (0.000, 0.000, 0.683)
Li (0.500, 0.500, 0.183)
Li (0.500, 0.500, 0.817)
Si (0.120, 0.769, 0.500)
Si (0.231, 0.120, 0.500)
Si (0.269, 0.620, 0.000)
Si (0.380, 0.269, 0.000)
Si (0.620, 0.731, 0.000)
Si (0.731, 0.380, 0.000)
Si (0.769, 0.880, 0.500)
Si (0.880, 0.231, 0.500)
N (0.063, 0.205, 0.500)
N (0.174, 0.674, 0.250)
N (0.174, 0.674, 0.750)
N (0.205, 0.937, 0.500)
N (0.295, 0.437, 0.000)
N (0.326, 0.174, 0.250)
N (0.326, 0.174, 0.750)
N (0.437, 0.705, 0.000)
N (0.563, 0.295, 0.000)
N (0.674, 0.826, 0.250)
N (0.674, 0.826, 0.750)
N (0.705, 0.563, 0.000)
N (0.795, 0.063, 0.500)
N (0.826, 0.326, 0.250)
N (0.826, 0.326, 0.750)
N (0.937, 0.795, 0.500)
O (0.000, 0.000, 0.000)
O (0.500, 0.500, 0.500)

Summary:
* E_form: -1344.1 meV per atom
* DFT total energy: -6.777 eV/atom

***

9.
ErCo12B6 after structural relaxation. Source: the Materials Project database, functional PBE-GGA.

a b c (Å): 5.954 5.954 5.954
angles (deg): 104.00 104.00 104.00
Element x y z (fractional)
Er (0.000, 0.000, 0.000)
Co (0.132, 0.500, 0.868)
Co (0.132, 0.868, 0.500)
Co (0.186, 0.455, 0.455)
Co (0.455, 0.186, 0.455)
Co (0.455, 0.455, 0.186)
Co (0.500, 0.132, 0.868)
Co (0.500, 0.868, 0.132)
Co (0.545, 0.545, 0.814)
Co (0.545, 0.814, 0.545)
Co (0.814, 0.545, 0.545)
Co (0.868, 0.132, 0.500)
Co (0.868, 0.500, 0.132)
B (0.232, 0.232, 0.678)
B (0.232, 0.678, 0.232)
B (0.322, 0.768, 0.768)
B (0.678, 0.232, 0.232)
B (0.768, 0.322, 0.768)
B (0.768, 0.768, 0.322)

Summary:
* E_form: -346.4 meV per atom
* DFT total energy: -7.186 eV/atom

***

10.
Li4Ti3O8 after structural relaxation. Source: the Materials Project database, functional PBE-GGA.

a b c (Å): 5.888 5.888 5.888
angles (deg): 60.22 60.22 60.22
Element x y z (fractional)
Li (0.000, 0.000, 0.000)
Li (0.000, 0.500, 0.500)
Li (0.500, 0.000, 0.500)
Li (0.500, 0.500, 0.000)
Ti (0.000, 0.000, 0.500)
Ti (0.000, 0.500, 0.000)
Ti (0.500, 0.000, 0.000)
O (0.214, 0.755, 0.755)
O (0.245, 0.245, 0.786)
O (0.245, 0.786, 0.245)
O (0.246, 0.246, 0.246)
O (0.754, 0.754, 0.754)
O (0.755, 0.214, 0.755)
O (0.755, 0.755, 0.214)
O (0.786, 0.245, 0.245)

Summary:
* E above lowest polymorph: 38.0 meV/atom
* E_form: -2989.7 meV per atom
* DFT total energy: -7.350 eV/atom

***

11.
LaAlNi4 after structural relaxation. Source: the Materials Project database, functional PBE-GGA.

a b c (Å): 5.166 5.166 3.871
angles (deg): 90.00 90.00 120.00
Element x y z (fractional)
La (0.000, 0.000, 0.000)
Al (0.333, 0.667, 0.000)
Ni (0.502, 0.004, 0.500)
Ni (0.502, 0.498, 0.500)
Ni (0.667, 0.333, 0.000)
Ni (0.996, 0.498, 0.500)

Summary:
* E above lowest polymorph: 48.6 meV/atom
* E_form: -416.9 meV per atom
* DFT total energy: -5.717 eV/atom

***

12.
Ca2YAgO5 after structural relaxation. Source: the Materials Project database, functional PBE-GGA.

a b c (Å): 8.772 8.772 5.803
angles (deg): 108.64 108.64 39.71
Element x y z (fractional)
Ca (0.222, 0.778, 0.500)
Ca (0.488, 0.935, 0.716)
Ca (0.778, 0.222, 0.000)
Ca (0.935, 0.488, 0.216)
Y (0.152, 0.559, 0.833)
Y (0.559, 0.152, 0.333)
Ag (0.356, 0.855, 0.144)
Ag (0.855, 0.356, 0.644)
O (0.095, 0.833, 0.083)
O (0.131, 0.148, 0.429)
O (0.148, 0.131, 0.929)
O (0.209, 0.501, 0.453)
O (0.501, 0.209, 0.953)
O (0.553, 0.588, 0.846)
O (0.588, 0.553, 0.346)
O (0.613, 0.879, 0.364)
O (0.833, 0.095, 0.583)
O (0.879, 0.613, 0.864)

Summary:
* E_form: -2540.1 meV per atom
* DFT total energy: -6.386 eV/atom